Below is a relaxed Na14Zr3Zn5P12O48 crystal, with properties calculated at the PBE-GGA level.

Computed properties:
energy with MP2020 corrections: -6.985 eV/atom
ΔH_f (0 K): -219.86 eV per formula unit

Cell and atoms, written as POSCAR:
```
Na14Zr3Zn5P12O48
1.0
9.103 0.000 0.000
0.071 15.748 0.000
0.038 0.020 22.296
Na Zr Zn P O
42 9 15 36 144
direct
0.000 0.000 0.000 Na
0.000 0.334 0.334 Na
0.014 0.293 0.672 Na
0.015 0.665 0.673 Na
0.022 0.632 0.000 Na
0.022 0.966 0.335 Na
0.136 0.468 0.832 Na
0.143 0.792 0.173 Na
0.155 0.499 0.501 Na
0.159 0.830 0.832 Na
0.190 0.138 0.832 Na
0.195 0.804 0.500 Na
0.204 0.480 0.173 Na
0.326 0.302 0.246 Na
0.328 0.312 0.746 Na
0.328 0.990 0.413 Na
0.333 0.974 0.914 Na
0.334 0.652 0.086 Na
0.341 0.645 0.586 Na
0.456 0.479 0.673 Na
0.496 0.830 0.331 Na
0.498 0.499 0.000 Na
0.514 0.793 0.672 Na
0.515 0.165 0.673 Na
0.518 0.469 0.332 Na
0.521 0.133 0.001 Na
0.632 0.301 0.167 Na
0.636 0.969 0.832 Na
0.642 0.665 0.172 Na
0.655 0.999 0.501 Na
0.659 0.330 0.832 Na
0.690 0.638 0.832 Na
0.691 0.972 0.168 Na
0.695 0.304 0.501 Na
0.822 0.485 0.415 Na
0.828 0.811 0.247 Na
0.828 0.812 0.746 Na
0.833 0.473 0.914 Na
0.840 0.146 0.586 Na
0.844 0.153 0.079 Na
0.956 0.979 0.673 Na
0.967 0.638 0.332 Na
0.325 0.312 0.904 Zr
0.325 0.981 0.570 Zr
0.329 0.977 0.070 Zr
0.330 0.308 0.403 Zr
0.825 0.481 0.570 Zr
0.826 0.812 0.904 Zr
0.827 0.811 0.404 Zr
0.830 0.477 0.069 Zr
0.831 0.146 0.236 Zr
0.321 0.308 0.102 Zn
0.326 0.312 0.600 Zn
0.328 0.979 0.765 Zn
0.329 0.645 0.242 Zn
0.329 0.646 0.742 Zn
0.332 0.650 0.933 Zn
0.332 0.984 0.268 Zn
0.337 0.645 0.434 Zn
0.826 0.811 0.100 Zn
0.826 0.812 0.600 Zn
0.828 0.478 0.765 Zn
0.828 0.480 0.266 Zn
0.829 0.146 0.742 Zn
0.832 0.151 0.933 Zn
0.836 0.145 0.435 Zn
0.030 0.310 0.506 P
0.032 0.977 0.173 P
0.033 0.645 0.838 P
0.123 0.143 0.339 P
0.125 0.811 0.006 P
0.127 0.479 0.672 P
0.177 0.164 0.006 P
0.178 0.830 0.672 P
0.179 0.129 0.674 P
0.179 0.498 0.338 P
0.182 0.462 0.007 P
0.182 0.794 0.338 P
0.473 0.461 0.505 P
0.474 0.128 0.172 P
0.474 0.794 0.836 P
0.477 0.498 0.838 P
0.478 0.830 0.174 P
0.480 0.164 0.507 P
0.529 0.479 0.173 P
0.529 0.811 0.507 P
0.533 0.145 0.838 P
0.623 0.645 0.336 P
0.624 0.311 0.006 P
0.627 0.979 0.672 P
0.676 0.664 0.007 P
0.676 0.998 0.340 P
0.678 0.330 0.672 P
0.679 0.629 0.674 P
0.682 0.295 0.339 P
0.682 0.962 0.006 P
0.973 0.962 0.506 P
0.974 0.294 0.836 P
0.977 0.629 0.172 P
0.977 0.998 0.838 P
0.980 0.332 0.174 P
0.980 0.664 0.506 P
0.007 0.803 0.344 O
0.009 0.821 0.667 O
0.010 0.134 0.674 O
0.011 0.147 0.000 O
0.011 0.472 0.009 O
0.011 0.486 0.333 O
0.021 0.160 0.283 O
0.021 0.490 0.616 O
0.023 0.825 0.950 O
0.026 0.129 0.394 O
0.030 0.799 0.062 O
0.031 0.465 0.729 O
0.123 0.301 0.563 O
0.125 0.664 0.781 O
0.126 0.965 0.229 O
0.127 0.631 0.895 O
0.130 0.989 0.115 O
0.132 0.324 0.450 O
0.145 0.985 0.833 O
0.146 0.325 0.166 O
0.146 0.964 0.509 O
0.147 0.634 0.173 O
0.148 0.303 0.844 O
0.148 0.654 0.500 O
0.200 0.738 0.281 O
0.205 0.552 0.394 O
0.205 0.885 0.728 O
0.210 0.218 0.060 O
0.213 0.407 0.949 O
0.214 0.228 0.343 O
0.215 0.895 0.009 O
0.217 0.069 0.620 O
0.219 0.064 0.332 O
0.219 0.731 0.999 O
0.220 0.561 0.673 O
0.225 0.398 0.667 O
0.246 0.884 0.333 O
0.247 0.205 0.948 O
0.247 0.877 0.616 O
0.248 0.089 0.731 O
0.248 0.753 0.394 O
0.249 0.419 0.062 O
0.250 0.218 0.667 O
0.250 0.551 0.000 O
0.252 0.406 0.345 O
0.253 0.535 0.281 O
0.255 0.742 0.673 O
0.257 0.074 0.009 O
0.401 0.548 0.498 O
0.401 0.752 0.890 O
0.402 0.742 0.174 O
0.403 0.535 0.781 O
0.404 0.407 0.844 O
0.407 0.880 0.120 O
0.408 0.420 0.562 O
0.409 0.210 0.452 O
0.409 0.885 0.832 O
0.410 0.074 0.509 O
0.411 0.084 0.226 O
0.418 0.220 0.166 O
0.423 0.736 0.500 O
0.431 0.067 0.834 O
0.432 0.227 0.844 O
0.432 0.399 0.167 O
0.436 0.896 0.509 O
0.437 0.562 0.173 O
0.445 0.402 0.449 O
0.449 0.073 0.114 O
0.449 0.552 0.895 O
0.453 0.217 0.564 O
0.453 0.884 0.231 O
0.461 0.740 0.778 O
0.509 0.321 0.667 O
0.510 0.306 0.342 O
0.510 0.634 0.674 O
0.510 0.972 0.009 O
0.511 0.648 0.000 O
0.512 0.981 0.334 O
0.522 0.989 0.616 O
0.523 0.325 0.950 O
0.525 0.630 0.390 O
0.530 0.300 0.063 O
0.531 0.965 0.729 O
0.536 0.665 0.278 O
0.623 0.802 0.563 O
0.625 0.163 0.781 O
0.626 0.464 0.228 O
0.627 0.131 0.895 O
0.631 0.825 0.450 O
0.635 0.489 0.116 O
0.645 0.485 0.833 O
0.646 0.464 0.508 O
0.646 0.821 0.167 O
0.647 0.803 0.844 O
0.648 0.154 0.500 O
0.649 0.133 0.176 O
0.705 0.385 0.728 O
0.709 0.715 0.063 O
0.710 0.049 0.397 O
0.713 0.907 0.949 O
0.714 0.240 0.282 O
0.715 0.395 0.009 O
0.717 0.569 0.620 O
0.719 0.231 0.999 O
0.720 0.061 0.673 O
0.724 0.727 0.344 O
0.725 0.898 0.667 O
0.727 0.567 0.332 O
0.747 0.253 0.395 O
0.747 0.377 0.616 O
0.747 0.920 0.062 O
0.748 0.589 0.731 O
0.748 0.707 0.951 O
0.749 0.041 0.284 O
0.750 0.051 0.001 O
0.750 0.384 0.334 O
0.751 0.717 0.667 O
0.755 0.242 0.673 O
0.757 0.574 0.009 O
0.758 0.908 0.342 O
0.898 0.244 0.176 O
0.901 0.049 0.499 O
0.901 0.252 0.890 O
0.903 0.035 0.781 O
0.904 0.377 0.119 O
0.904 0.907 0.844 O
0.905 0.718 0.167 O
0.908 0.588 0.228 O
0.908 0.920 0.562 O
0.909 0.385 0.832 O
0.909 0.574 0.509 O
0.912 0.708 0.449 O
0.923 0.236 0.500 O
0.929 0.057 0.175 O
0.931 0.567 0.834 O
0.932 0.727 0.844 O
0.932 0.898 0.167 O
0.936 0.396 0.508 O
0.940 0.570 0.116 O
0.945 0.904 0.449 O
0.949 0.052 0.895 O
0.950 0.718 0.562 O
0.952 0.383 0.231 O
0.961 0.240 0.778 O
```